A geometry-optimized Ca2Bi structure, computed with PBE.

Values from the calculation:
**ΔH_f (0 K)**: -0.76 eV per atom

Cell lengths 4.8842, 4.8842, 16.9704 Å; angles 90.00, 90.00, 90.00 degrees
Last column: nearest neighbours and their distance in Å.
Space group I4/mmm (No. 139)
Asymmetric unit:
Ca1 0.0000 0.0000 0.1733 x4  5 Bi 3.22-3.51
Ca2 0.0000 0.5000 0.0000 x4  4 Bi 3.37, 4 Ca 3.45
Bi1 0.0000 0.0000 0.3633 x4  9 Ca 3.22-3.51

A geometry-optimized Ca3Bi2 structure, computed with PBE.

Values from the calculation:
**ΔH_f (0 K)**: -0.47 eV per atom

Cell lengths 5.8900, 5.8900, 5.8900 Å; angles 90.00, 90.00, 90.00 degrees
Last column: nearest neighbours and their distance in Å.
Space group Pm-3m (No. 221)
Asymmetric unit:
Ca1 0.0000 0.0000 0.5000 x3  2 Bi 2.94
Bi1 0.0000 0.0000 0.0000 x1  6 Ca 2.94
Bi2 0.5000 0.5000 0.5000 x1  12 Ca 4.16

A geometry-optimized KCaCeBiO6 structure, computed with PBE.

Values from the calculation:
**ΔH_f (0 K)**: -2.60 eV per atom

Cell lengths 8.4565, 8.5284, 8.5492 Å; angles 90.00, 90.00, 90.00 degrees
Last column: nearest neighbours and their distance in Å.
Space group Pnnn (No. 48, origin choice 2)
Asymmetric unit:
K1 0.2500 0.2500 0.2500 x2  4 O 2.65
K2 0.2500 0.7500 0.7500 x2  12 O 3.00-3.11
Ca1 0.2500 0.2500 0.7500 x2  4 O 2.42
Ca2 0.2500 0.7500 0.2500 x2  4 O 2.41
Ce1 0.0000 0.0000 0.0000 x4  6 O 2.19-2.27
Bi1 0.0000 0.0000 0.5000 x4  6 O 2.13-2.16
O1 0.0362 0.2465 0.4761 x8  1 Bi 2.13, 1 Ce 2.19
O2 0.0540 0.0425 0.7434 x8  1 Bi 2.16, 1 Ce 2.27
O3 0.2435 0.5478 0.0532 x8  1 Bi 2.15, 1 Ce 2.25

A geometry-optimized KCaCeBiO6 structure, computed with PBE.

Values from the calculation:
**ΔH_f (0 K)**: -2.50 eV per atom

Cell lengths 8.6374, 8.6374, 8.6374 Å; angles 90.00, 90.00, 90.00 degrees
Last column: nearest neighbours and their distance in Å.
Space group F-43m (No. 216)
Asymmetric unit:
K1 0.0000 0.0000 0.0000 x4  12 O 3.05
Ca1 0.0000 0.0000 0.5000 x4  12 O 3.05
Ce1 0.2500 0.2500 0.7500 x4  6 O 2.20
Bi1 0.2500 0.2500 0.2500 x4  6 O 2.12
O1 0.0048 0.2500 0.2500 x24  1 Bi 2.12, 1 Ce 2.20